# 1
CaV4Ge4O16: optimized geometry, PBE+U.

The calculation puts the formation energy from the elements at -2.210 eV/atom. The calculation puts the final energy at -173.47 eV per cell. Its space group is P1. The volume is 12.233 Å³/atom.

a = 4.9477 Å, b = 5.4667 Å, c = 11.3916 Å
α = 92.26°, β = 89.30°, γ = 83.47°
Sites, in units of the cell vectors:
1 Ge 0.6186 0.9761 0.2804
2 Ge 0.9599 0.2008 0.1285
3 Ge 0.0540 0.8061 0.8320
4 Ge 0.3782 0.2581 0.6771
5 O 0.7426 0.3949 0.0361
6 O 0.0774 0.5006 0.4799
7 O 0.6201 0.3280 0.7933
8 O 0.1259 0.5303 0.7164
9 O 0.2461 0.0674 0.8151
10 O 0.4371 0.7291 0.2183
11 O 0.8217 0.2812 0.2776
12 O 0.2705 0.6167 0.9428
13 O 0.3210 0.1732 0.3226
14 O 0.6061 0.4127 0.5728
15 O 0.8401 0.9054 0.1481
16 O 0.7795 0.8970 0.4179
17 O 0.2573 0.0485 0.5724
18 O 0.7996 0.8846 0.7041
19 O 0.7506 0.9131 0.9301
20 O 0.2870 0.1295 0.0609
21 V 0.5011 0.2388 0.9278
22 V 0.8594 0.6462 0.5954
23 V 0.5297 0.7534 0.0493
24 V 0.0368 0.1544 0.4391
25 Ca 0.4701 0.5288 0.3843

# 2
Ca3Ge3W2O12: optimized geometry, PBE+U.

The calculation puts the formation energy from the elements at -2.500 eV/atom. The calculation puts the final energy at -552.20 eV per cell. Its space group is Ia-3d. The volume is 13.009 Å³/atom.

a = 11.0575 Å, b = 11.0575 Å, c = 11.0575 Å
α = 109.47°, β = 109.47°, γ = 109.47°
Sites, in units of the cell vectors:
1 Ca 0.1250 0.2500 0.3750
2 Ca 0.8750 0.6250 0.2500
3 Ca 0.7500 0.6250 0.8750
4 Ca 0.8750 0.7500 0.6250
5 Ca 0.3750 0.7500 0.1250
6 Ca 0.7500 0.1250 0.3750
7 Ca 0.6250 0.2500 0.8750
8 Ca 0.6250 0.8750 0.7500
9 Ca 0.2500 0.3750 0.1250
10 Ca 0.1250 0.3750 0.7500
11 Ca 0.3750 0.1250 0.2500
12 Ca 0.2500 0.8750 0.6250
13 Ge 0.1250 0.7500 0.8750
14 Ge 0.2500 0.1250 0.8750
15 Ge 0.1250 0.8750 0.2500
16 Ge 0.8750 0.1250 0.7500
17 Ge 0.6250 0.7500 0.3750
18 Ge 0.7500 0.3750 0.6250
19 Ge 0.3750 0.6250 0.7500
20 Ge 0.8750 0.2500 0.1250
21 Ge 0.3750 0.2500 0.6250
22 Ge 0.7500 0.8750 0.1250
23 Ge 0.2500 0.6250 0.3750
24 Ge 0.6250 0.3750 0.2500
25 O 0.6038 0.9120 0.1234
26 O 0.2114 0.1234 0.0195
27 O 0.3766 0.5880 0.8962
28 O 0.8082 0.7886 0.4120
29 O 0.8766 0.3962 0.0880
30 O 0.6918 0.1038 0.9805
31 O 0.3962 0.8082 0.5195
32 O 0.1918 0.2114 0.5880
33 O 0.8962 0.3766 0.5880
34 O 0.8766 0.9805 0.7886
35 O 0.5880 0.1918 0.2114
36 O 0.3082 0.8962 0.0195
37 O 0.5195 0.6234 0.7114
38 O 0.4805 0.6038 0.1918
39 O 0.5880 0.8962 0.3766
40 O 0.1234 0.0195 0.2114
41 O 0.7114 0.6918 0.0880
42 O 0.2886 0.4805 0.3766
43 O 0.6038 0.1918 0.4805
44 O 0.9805 0.6918 0.1038
45 O 0.0880 0.7114 0.6918
46 O 0.2114 0.5880 0.1918
47 O 0.3962 0.0880 0.8766
48 O 0.1038 0.9805 0.6918
49 O 0.8962 0.0195 0.3082
50 O 0.7114 0.5195 0.6234
51 O 0.5195 0.3962 0.8082
52 O 0.9120 0.1234 0.6038
53 O 0.0880 0.8766 0.3962
54 O 0.9805 0.7886 0.8766
55 O 0.7886 0.4120 0.8082
56 O 0.3082 0.9120 0.2886
57 O 0.9120 0.2886 0.3082
58 O 0.1918 0.4805 0.6038
59 O 0.8082 0.5195 0.3962
60 O 0.1234 0.6038 0.9120
61 O 0.0195 0.3082 0.8962
62 O 0.6918 0.0880 0.7114
63 O 0.0195 0.2114 0.1234
64 O 0.7886 0.8766 0.9805
65 O 0.4805 0.3766 0.2886
66 O 0.6234 0.7114 0.5195
67 O 0.3766 0.2886 0.4805
68 O 0.4120 0.8082 0.7886
69 O 0.2886 0.3082 0.9120
70 O 0.6234 0.4120 0.1038
71 O 0.4120 0.1038 0.6234
72 O 0.1038 0.6234 0.4120
73 W 0.0000 0.0000 0.5000
74 W 0.5000 0.5000 0.0000
75 W 0.5000 0.0000 0.5000
76 W 0.0000 0.5000 0.0000
77 W 0.5000 0.0000 0.0000
78 W 0.0000 0.0000 0.0000
79 W 0.5000 0.5000 0.5000
80 W 0.0000 0.5000 0.5000

# 3
KCaNi2H3Se2O10: optimized geometry, PBE+U.

The relative energy among the computed polymorphs is 14.9 meV per atom. The calculation puts the formation energy from the elements at -1.471 eV/atom. The calculation puts the final energy at -97.33 eV per cell. Its space group is P1. The volume is 14.265 Å³/atom.

a = 5.5479 Å, b = 6.6413 Å, c = 9.4585 Å
α = 59.14°, β = 69.62°, γ = 67.34°
Sites, in units of the cell vectors:
1 O 0.7694 0.1726 0.7855
2 O 0.1919 0.2517 0.8812
3 O 0.8354 0.2158 0.2076
4 O 0.8175 0.7636 0.4343
5 O 0.3367 0.3561 0.0839
6 O 0.2773 0.8315 0.2049
7 O 0.6472 0.6065 0.9150
8 O 0.0857 0.7646 0.7432
9 O 0.8179 0.8670 0.1236
10 O 0.2058 0.2106 0.5701
11 Se 0.1093 0.9991 0.7682
12 Se 0.9426 0.9254 0.2342
13 Ca 0.9555 0.5200 0.6833
14 Ni 0.4896 0.0891 0.9994
15 Ni 0.0081 0.4702 0.9885
16 H 0.4979 0.4988 0.0002
17 H 0.3190 0.2968 0.2040
18 H 0.5630 0.7784 0.8837
19 K 0.6566 0.3727 0.4537

# 4
KCaNi2H3Se2O10: optimized geometry, PBE+U.

The relative energy among the computed polymorphs is 0.0 meV per atom. The calculation puts the formation energy from the elements at -1.486 eV/atom. The calculation puts the final energy at -97.61 eV per cell. Its space group is P1. The volume is 13.895 Å³/atom.

a = 6.2669 Å, b = 6.8946 Å, c = 8.7043 Å
α = 55.70°, β = 60.76°, γ = 63.96°
Sites, in units of the cell vectors:
1 O 0.2634 0.1795 0.4857
2 O 0.2128 0.7918 0.1776
3 O 0.2331 0.4110 0.1389
4 O 0.8240 0.7328 0.5173
5 O 0.3040 0.2830 0.8497
6 O 0.6973 0.6698 0.8959
7 O 0.1819 0.7429 0.7604
8 O 0.7910 0.1415 0.7341
9 O 0.7453 0.8588 0.1852
10 O 0.8349 0.1895 0.2202
11 Ni 0.0142 0.4573 0.9859
12 Ni 0.4920 0.9705 0.9353
13 H 0.7982 0.7548 0.7583
14 H 0.2369 0.2821 0.2768
15 H 0.2131 0.5585 0.1450
16 Se 0.1060 0.0377 0.7264
17 Se 0.8975 0.8983 0.2741
18 Ca 0.5601 0.4723 0.8126
19 K 0.4898 0.4634 0.4431

# 5
KCaNi2H3Se2O10: optimized geometry, PBE+U.

The relative energy among the computed polymorphs is 65.2 meV per atom. The calculation puts the formation energy from the elements at -1.421 eV/atom. The calculation puts the final energy at -96.37 eV per cell. Its space group is P1. The volume is 14.335 Å³/atom.

a = 5.7045 Å, b = 5.8073 Å, c = 9.3616 Å
α = 83.89°, β = 75.76°, γ = 64.96°
Sites, in units of the cell vectors:
1 Ni 0.5697 0.0706 0.9255
2 Ni 0.0089 0.6073 0.9296
3 O 0.2115 0.7606 0.7708
4 O 0.7671 0.2119 0.7566
5 O 0.8094 0.9100 0.0517
6 O 0.1699 0.2066 0.8769
7 O 0.9014 0.7202 0.5632
8 O 0.3605 0.4509 0.0193
9 O 0.1801 0.6496 0.2732
10 O 0.2582 0.1241 0.5767
11 O 0.6552 0.7032 0.8821
12 O 0.8006 0.0954 0.3553
13 H 0.6773 0.6795 0.7764
14 H 0.2939 0.5063 0.1319
15 H 0.4793 0.5414 0.9653
16 K 0.4435 0.4830 0.5140
17 Se 0.0984 0.0750 0.7382
18 Se 0.8504 0.7803 0.3920
19 Ca 0.0624 0.0220 0.1325

# 6
KCaNi2H3Se2O10: optimized geometry, PBE+U.

The relative energy among the computed polymorphs is 120.7 meV per atom. The calculation puts the formation energy from the elements at -1.365 eV/atom. The calculation puts the final energy at -95.32 eV per cell. Its space group is P1. The volume is 13.247 Å³/atom.

a = 5.7736 Å, b = 5.7770 Å, c = 8.7621 Å
α = 69.99°, β = 69.93°, γ = 71.92°
Sites, in units of the cell vectors:
1 O 0.6094 0.6771 0.9328
2 O 0.2094 0.2319 0.8605
3 O 0.1945 0.1643 0.5657
4 O 0.1176 0.7244 0.7788
5 O 0.8303 0.8009 0.4357
6 O 0.3207 0.3856 0.0715
7 O 0.2677 0.8933 0.2267
8 O 0.7637 0.7826 0.1433
9 O 0.7572 0.1969 0.8016
10 O 0.7920 0.2379 0.1994
11 K 0.6876 0.3179 0.4984
12 H 0.3206 0.3335 0.1897
13 H 0.6478 0.6877 0.8137
14 H 0.4503 0.5199 0.0081
15 Ni 0.4956 0.0234 0.9991
16 Ni 0.9605 0.5042 0.0012
17 Ca 0.1977 0.7897 0.5032
18 Se 0.9369 0.9226 0.2182
19 Se 0.0741 0.0586 0.7833

# 7
K2CaV4H14O19: optimized geometry, PBE+U.

The calculation puts the formation energy from the elements at -1.864 eV/atom. The calculation puts the final energy at -947.15 eV per cell. Its space group is P2_1/c. The volume is 11.639 Å³/atom.

a = 8.0814 Å, b = 14.8977 Å, c = 16.5412 Å
α = 90.00°, β = 110.75°, γ = 90.00°
Sites, in units of the cell vectors:
1 V 0.6145 0.0613 0.0785
2 V 0.3727 0.1869 0.9306
3 V 0.6273 0.8131 0.0694
4 V 0.3855 0.8131 0.4213
5 V 0.3802 0.4369 0.9251
6 V 0.3855 0.6869 0.9213
7 V 0.3855 0.5613 0.4215
8 V 0.6198 0.9369 0.5749
9 V 0.3802 0.0631 0.4251
10 V 0.6145 0.4387 0.5785
11 V 0.3727 0.3131 0.4306
12 V 0.6145 0.1869 0.5787
13 V 0.6273 0.6869 0.5694
14 V 0.3855 0.9387 0.9215
15 V 0.6198 0.5631 0.0749
16 V 0.6145 0.3131 0.0787
17 O 0.5632 0.4484 0.6662
18 O 0.8341 0.1908 0.6048
19 O 0.1449 0.1933 0.5779
20 O 0.4330 0.3134 0.3428
21 O 0.4264 0.5624 0.9579
22 O 0.5547 0.3126 0.5494
23 O 0.1527 0.4402 0.8895
24 O 0.9804 0.6812 0.2501
25 O 0.4365 0.4336 0.8385
26 O 0.8473 0.5598 0.1105
27 O 0.4368 0.5516 0.3338
28 O 0.2627 0.7844 0.6537
29 O 0.1527 0.0598 0.3895
30 O 0.4330 0.1866 0.8428
31 O 0.8341 0.3092 0.1048
32 O 0.2438 0.9146 0.1436
33 O 0.0190 0.4490 0.2488
34 O 0.5857 0.3184 0.1747
35 O 0.1659 0.8092 0.3952
36 O 0.0196 0.1812 0.2499
37 O 0.9810 0.5510 0.7512
38 O 0.1598 0.9311 0.8885
39 O 0.8614 0.4422 0.9264
40 O 0.8494 0.8136 0.0960
41 O 0.5632 0.0516 0.1662
42 O 0.1344 0.4231 0.5687
43 O 0.1506 0.3136 0.4040
44 O 0.1506 0.1864 0.9040
45 O 0.9804 0.8188 0.7501
46 O 0.1386 0.5578 0.0736
47 O 0.5547 0.1874 0.0494
48 O 0.1386 0.9422 0.5736
49 O 0.8614 0.0578 0.4264
50 O 0.5849 0.5621 0.5369
51 O 0.8656 0.9231 0.9313
52 O 0.8402 0.4311 0.6115
53 O 0.4453 0.6874 0.4506
54 O 0.2438 0.5854 0.6436
55 O 0.4264 0.9376 0.4579
56 O 0.9810 0.9490 0.2512
57 O 0.4143 0.8184 0.3253
58 O 0.5857 0.1816 0.6747
59 O 0.1598 0.5689 0.3885
60 O 0.7373 0.2844 0.8463
61 O 0.8656 0.5769 0.4313
62 O 0.4161 0.1872 0.4633
63 O 0.5670 0.8134 0.1572
64 O 0.4161 0.3128 0.9633
65 O 0.5839 0.6872 0.0367
66 O 0.7562 0.0854 0.8564
67 O 0.7562 0.4146 0.3564
68 O 0.4368 0.9484 0.8338
69 O 0.8494 0.6864 0.5960
70 O 0.5849 0.9379 0.0369
71 O 0.8551 0.8067 0.4221
72 O 0.4143 0.6816 0.8253
73 O 0.0196 0.3188 0.7499
74 O 0.2627 0.7156 0.1537
75 O 0.8473 0.9402 0.6105
76 O 0.4151 0.0621 0.9631
77 O 0.4365 0.0664 0.3385
78 O 0.4453 0.8126 0.9506
79 O 0.1344 0.0769 0.0687
80 O 0.1659 0.6908 0.8952
81 O 0.5635 0.5664 0.1615
82 O 0.8402 0.0689 0.1115
83 O 0.5736 0.4376 0.0421
84 O 0.5635 0.9336 0.6615
85 O 0.5736 0.0624 0.5421
86 O 0.4151 0.4379 0.4631
87 O 0.0190 0.0510 0.7488
88 O 0.7373 0.2156 0.3463
89 O 0.1449 0.3067 0.0779
90 O 0.8551 0.6933 0.9221
91 O 0.5839 0.8128 0.5367
92 O 0.5670 0.6866 0.6572
93 K 0.3586 0.3173 0.7026
94 K 0.6565 0.9389 0.3027
95 K 0.6414 0.6827 0.2974
96 K 0.3435 0.0611 0.6973
97 K 0.3435 0.4389 0.1973
98 K 0.3586 0.1827 0.2026
99 K 0.6414 0.8173 0.7974
100 K 0.6565 0.5611 0.8027
101 H 0.9339 0.8610 0.7008
102 H 0.7727 0.1580 0.3784
103 H 0.7884 0.0259 0.8855
104 H 0.9827 0.4395 0.9223
105 H 0.0661 0.3610 0.7992
106 H 0.9339 0.6390 0.2008
107 H 0.0672 0.0090 0.7983
108 H 0.8782 0.4424 0.9876
109 H 0.7727 0.3420 0.8784
110 H 0.0111 0.0796 0.0683
111 H 0.2273 0.8420 0.6216
112 H 0.8651 0.7123 0.9800
113 H 0.9760 0.6981 0.9196
114 H 0.3530 0.8946 0.1364
115 H 0.9760 0.8019 0.4196
116 H 0.6378 0.2588 0.8596
117 H 0.8651 0.7877 0.4800
118 H 0.9889 0.9204 0.9317
119 H 0.8782 0.0576 0.4876
120 H 0.0499 0.8557 0.8010
121 H 0.3622 0.7588 0.6404
122 H 0.2116 0.9741 0.1145
123 H 0.9328 0.9910 0.2017
124 H 0.1218 0.5576 0.0124
125 H 0.6378 0.2412 0.3596
126 H 0.0672 0.4910 0.2983
127 H 0.9827 0.0605 0.4223
128 H 0.6470 0.3946 0.3636
129 H 0.8690 0.9076 0.9893
130 H 0.0240 0.3019 0.0804
131 H 0.6470 0.1054 0.8636
132 H 0.9328 0.5090 0.7017
133 H 0.0661 0.1390 0.2992
134 H 0.2116 0.5259 0.6145
135 H 0.0240 0.1981 0.5804
136 H 0.1218 0.9424 0.5124
137 H 0.0173 0.9395 0.5777
138 H 0.1349 0.2123 0.5200
139 H 0.3530 0.6054 0.6364
140 H 0.1310 0.0924 0.0107
141 H 0.9501 0.1443 0.1990
142 H 0.0499 0.6443 0.3010
143 H 0.0111 0.4204 0.5683
144 H 0.1310 0.4076 0.5107
145 H 0.9889 0.5796 0.4317
146 H 0.9501 0.3557 0.6990
147 H 0.2273 0.6580 0.1216
148 H 0.0497 0.5136 0.8019
149 H 0.1349 0.2877 0.0200
150 H 0.9503 0.0136 0.6981
151 H 0.7884 0.4741 0.3855
152 H 0.0497 0.9864 0.3019
153 H 0.3622 0.7412 0.1404
154 H 0.9503 0.4864 0.1981
155 H 0.8690 0.5924 0.4893
156 H 0.0173 0.5605 0.0777
157 Ca 0.1155 0.6845 0.7189
158 Ca 0.8845 0.3155 0.2811
159 Ca 0.1155 0.8155 0.2189
160 Ca 0.8845 0.1845 0.7811

# 8
LiCa2Mn2Si5HO15: optimized geometry, PBE+U.

The calculation puts the formation energy from the elements at -2.999 eV/atom. The calculation puts the final energy at -386.64 eV per cell. Its space group is P-1. The volume is 11.752 Å³/atom.

a = 6.9222 Å, b = 7.7745 Å, c = 11.8872 Å
α = 106.20°, β = 92.21°, γ = 94.59°
Sites, in units of the cell vectors:
1 Si 0.2153 0.8073 0.4502
2 Si 0.3494 0.2791 0.0518
3 Si 0.6506 0.7209 0.9482
4 Si 0.2970 0.9972 0.7184
5 Si 0.7847 0.1927 0.5498
6 Si 0.5775 0.5357 0.6794
7 Si 0.7030 0.0028 0.2816
8 Si 0.1086 0.3406 0.8455
9 Si 0.8914 0.6594 0.1545
10 Si 0.4225 0.4643 0.3206
11 Ca 0.2843 0.2358 0.5231
12 Ca 0.8609 0.1939 0.0585
13 Ca 0.1391 0.8061 0.9415
14 Ca 0.7157 0.7642 0.4769
15 O 0.1282 0.8752 0.7584
16 O 0.2485 0.3976 0.9712
17 O 0.8718 0.1248 0.2416
18 O 0.7634 0.7928 0.2574
19 O 0.7515 0.6024 0.0288
20 O 0.9303 0.4797 0.1900
21 O 0.4927 0.9996 0.2104
22 O 0.7470 0.6733 0.6520
23 O 0.6619 0.0717 0.4222
24 O 0.6377 0.4588 0.3750
25 O 0.0352 0.6777 0.4741
26 O 0.5445 0.2074 0.9908
27 O 0.0697 0.5203 0.8100
28 O 0.4106 0.4415 0.1763
29 O 0.8358 0.0375 0.6084
30 O 0.8094 0.8771 0.9324
31 O 0.0883 0.7713 0.1313
32 O 0.2530 0.3267 0.3480
33 O 0.3795 0.6818 0.3772
34 O 0.2366 0.2072 0.7426
35 O 0.4555 0.7926 0.0092
36 O 0.9648 0.3223 0.5259
37 O 0.9117 0.2287 0.8687
38 O 0.5073 0.0004 0.7896
39 O 0.5894 0.5585 0.8237
40 O 0.3381 0.9283 0.5778
41 O 0.3623 0.5412 0.6250
42 O 0.6205 0.3182 0.6228
43 O 0.1642 0.9625 0.3916
44 O 0.1906 0.1229 0.0676
45 Li 0.6670 0.3445 0.8771
46 Li 0.3330 0.6555 0.1229
47 Mn 0.9380 0.4076 0.3527
48 Mn 0.1773 0.0452 0.2368
49 Mn 0.0620 0.5924 0.6473
50 Mn 0.8227 0.9548 0.7632
51 H 0.5146 0.0737 0.8806
52 H 0.4854 0.9263 0.1194